(1)
Computed, not measured: crystalline Ce2Te3 at its relaxed geometry at the PBE-GGA level of DFT.

Cell lengths 15.8096, 15.8096, 15.8096 Å; angles 145.05, 145.05, 50.26 degrees
Last column: nearest neighbours and their distance in Å.
Fractional coordinates of all 40 atoms:
Ce  0.0450  0.4204  0.8844  8 Te 3.18-3.43
Ce  0.1673  0.1673  0.0000  8 Te 3.19-3.38
Ce  0.1704  0.2950  0.3844  8 Te 3.18-3.43
Ce  0.2140  0.8296  0.1246  8 Te 3.18-3.43
Ce  0.2543  0.1250  0.6293  8 Te 3.20-3.40
Ce  0.3750  0.7457  0.8707  8 Te 3.20-3.40
Ce  0.4957  0.6250  0.3707  8 Te 3.20-3.40
Ce  0.5360  0.1606  0.1156  8 Te 3.18-3.43
Ce  0.5796  0.4640  0.6246  8 Te 3.18-3.43
Ce  0.5827  0.0827  0.5000  8 Te 3.19-3.38
Ce  0.7050  0.0894  0.8754  8 Te 3.18-3.43
Ce  0.8327  0.8327  0.0000  8 Te 3.19-3.38
Ce  0.8394  0.9550  0.3754  8 Te 3.18-3.43
Ce  0.8750  0.5043  0.1293  8 Te 3.20-3.40
Ce  0.9106  0.7860  0.6156  8 Te 3.18-3.43
Ce  0.9173  0.4173  0.5000  8 Te 3.19-3.38
Te  0.0082  0.1056  0.2484  6 Ce 3.22-3.43, 2 Te 3.58-3.60
Te  0.0725  0.8254  0.6020  5 Ce 3.18-3.37, 1 Te 3.57
Te  0.1746  0.7766  0.2471  5 Ce 3.18-3.37, 1 Te 3.57
Te  0.1866  0.0914  0.7465  5 Ce 3.19-3.37
Te  0.1901  0.5949  0.7535  5 Ce 3.19-3.37
Te  0.2205  0.4734  0.8980  5 Ce 3.18-3.37, 1 Te 3.57
Te  0.2234  0.4705  0.3980  5 Ce 3.18-3.37, 1 Te 3.57
Te  0.2402  0.9918  0.0974  6 Ce 3.22-3.43, 2 Te 3.58-3.60
Te  0.3449  0.4401  0.2535  5 Ce 3.19-3.37
Te  0.4051  0.1586  0.5953  5 Ce 3.19-3.37
Te  0.5098  0.1072  0.2516  6 Ce 3.22-3.43, 2 Te 3.58-3.60
Te  0.5266  0.4246  0.7471  5 Ce 3.18-3.37, 1 Te 3.57
Te  0.5295  0.9275  0.7529  5 Ce 3.18-3.37, 1 Te 3.57
Te  0.5599  0.8134  0.9047  5 Ce 3.19-3.37
Te  0.5634  0.8099  0.4047  5 Ce 3.19-3.37
Te  0.5754  0.3225  0.1020  5 Ce 3.18-3.37, 1 Te 3.57
Te  0.6775  0.7795  0.2529  5 Ce 3.18-3.37, 1 Te 3.57
Te  0.7418  0.4902  0.5974  6 Ce 3.22-3.43, 2 Te 3.58-3.60
Te  0.8414  0.4366  0.2465  5 Ce 3.19-3.37
Te  0.8556  0.2582  0.7484  6 Ce 3.22-3.43, 2 Te 3.58-3.60
Te  0.8572  0.7598  0.7516  6 Ce 3.22-3.43, 2 Te 3.58-3.60
Te  0.8928  0.1444  0.4026  6 Ce 3.22-3.43, 2 Te 3.58-3.60
Te  0.8944  0.1428  0.9026  6 Ce 3.22-3.43, 2 Te 3.58-3.60
Te  0.9086  0.6551  0.0953  5 Ce 3.19-3.37

## Properties
Formation energy, eV per atom: -1.6264
E (MP2020), eV per atom: -5.886
Final energy, eV for the cell shown: -225.30
Volume, Å³ per atom: 32.26
E above lowest polymorph, meV per atom: 17

---

(2)
Computed, not measured: crystalline Ce10Te19 at its relaxed geometry at the PBE-GGA level of DFT.

Cell lengths 10.0689, 10.0689, 18.1267 Å; angles 90.00, 90.00, 90.00 degrees
Last column: nearest neighbours and their distance in Å.
Fractional coordinates of all 58 atoms:
Ce  0.0436  0.3504  0.1186  9 Te 3.27-3.41
Ce  0.0493  0.3528  0.6098  8 Te 3.25-3.31
Ce  0.1472  0.0493  0.8902  8 Te 3.25-3.31
Ce  0.1496  0.0436  0.3814  9 Te 3.27-3.41
Ce  0.2500  0.7500  0.1194  9 Te 3.27-3.40
Ce  0.2500  0.7500  0.6194  9 Te 3.27-3.40
Ce  0.3504  0.4564  0.3814  9 Te 3.27-3.41
Ce  0.3528  0.4507  0.8902  8 Te 3.25-3.31
Ce  0.4507  0.1472  0.6098  8 Te 3.25-3.31
Ce  0.4564  0.1496  0.1186  9 Te 3.27-3.41
Ce  0.5436  0.8504  0.8814  9 Te 3.27-3.41
Ce  0.5493  0.8528  0.3902  8 Te 3.25-3.31
Ce  0.6472  0.5493  0.1098  8 Te 3.25-3.31
Ce  0.6496  0.5436  0.6186  9 Te 3.27-3.41
Ce  0.7500  0.2500  0.3806  9 Te 3.27-3.40
Ce  0.7500  0.2500  0.8806  9 Te 3.27-3.40
Ce  0.8504  0.9564  0.6186  9 Te 3.27-3.41
Ce  0.8528  0.9507  0.1098  8 Te 3.25-3.31
Ce  0.9507  0.6472  0.3902  8 Te 3.25-3.31
Ce  0.9564  0.6496  0.8814  9 Te 3.27-3.41
Te  0.0244  0.8359  0.2504  2 Te 3.06-3.17, 4 Ce 3.25-3.41
Te  0.0498  0.3476  0.4292  5 Ce 3.26-3.34
Te  0.0529  0.3496  0.9347  5 Ce 3.27-3.36
Te  0.0548  0.8590  0.7501  3 Te 3.06-3.26, 4 Ce 3.27-3.33
Te  0.1410  0.5548  0.2501  3 Te 3.06-3.26, 4 Ce 3.27-3.33
Te  0.1504  0.0529  0.5653  5 Ce 3.27-3.36
Te  0.1524  0.0498  0.0708  5 Ce 3.26-3.34
Te  0.1641  0.5244  0.7504  2 Te 3.06-3.17, 4 Ce 3.25-3.41
Te  0.2500  0.2500  0.2500  4 Te 3.26, 4 Ce 3.32
Te  0.2500  0.7500  0.4345  5 Ce 3.27-3.35
Te  0.2500  0.7500  0.9345  5 Ce 3.27-3.35
Te  0.3359  0.9756  0.7504  2 Te 3.06-3.17, 4 Ce 3.25-3.41
Te  0.3476  0.4502  0.0708  5 Ce 3.26-3.34
Te  0.3496  0.4471  0.5653  5 Ce 3.27-3.36
Te  0.3590  0.9452  0.2501  3 Te 3.06-3.26, 4 Ce 3.27-3.33
Te  0.4452  0.6410  0.7501  3 Te 3.06-3.26, 4 Ce 3.27-3.33
Te  0.4471  0.1504  0.9347  5 Ce 3.27-3.36
Te  0.4502  0.1524  0.4292  5 Ce 3.26-3.34
Te  0.4756  0.6641  0.2504  2 Te 3.06-3.17, 4 Ce 3.25-3.41
Te  0.5244  0.3359  0.7496  2 Te 3.06-3.17, 4 Ce 3.25-3.41
Te  0.5498  0.8476  0.5708  5 Ce 3.26-3.34
Te  0.5529  0.8496  0.0653  5 Ce 3.27-3.36
Te  0.5548  0.3590  0.2499  3 Te 3.06-3.26, 4 Ce 3.27-3.33
Te  0.6410  0.0548  0.7499  3 Te 3.06-3.26, 4 Ce 3.27-3.33
Te  0.6504  0.5529  0.4347  5 Ce 3.27-3.36
Te  0.6524  0.5498  0.9292  5 Ce 3.26-3.34
Te  0.6641  0.0244  0.2496  2 Te 3.06-3.17, 4 Ce 3.25-3.41
Te  0.7500  0.2500  0.0655  5 Ce 3.27-3.35
Te  0.7500  0.2500  0.5655  5 Ce 3.27-3.35
Te  0.7500  0.7500  0.7500  4 Te 3.26, 4 Ce 3.32
Te  0.8359  0.4756  0.2496  2 Te 3.06-3.17, 4 Ce 3.25-3.41
Te  0.8476  0.9502  0.9292  5 Ce 3.26-3.34
Te  0.8496  0.9471  0.4347  5 Ce 3.27-3.36
Te  0.8590  0.4452  0.7499  3 Te 3.06-3.26, 4 Ce 3.27-3.33
Te  0.9452  0.1410  0.2499  3 Te 3.06-3.26, 4 Ce 3.27-3.33
Te  0.9471  0.6504  0.0653  5 Ce 3.27-3.36
Te  0.9502  0.6524  0.5708  5 Ce 3.26-3.34
Te  0.9756  0.1641  0.7496  2 Te 3.06-3.17, 4 Ce 3.25-3.41

## Properties
Formation energy, eV per atom: -1.5269
E (MP2020), eV per atom: -5.632
Final energy, eV for the cell shown: -310.63
Volume, Å³ per atom: 31.69

---

(3)
Computed, not measured: crystalline Ce2Te5 at its relaxed geometry at the PBE-GGA level of DFT.

Cell lengths 21.8183, 21.8183, 4.4175 Å; angles 90.00, 90.00, 168.38 degrees
Last column: nearest neighbours and their distance in Å.
Fractional coordinates of all 14 atoms:
Ce  0.0967  0.9033  0.7500  9 Te 3.24-3.33
Ce  0.3072  0.6928  0.7500  9 Te 3.24-3.32
Ce  0.6928  0.3072  0.2500  9 Te 3.24-3.32
Ce  0.9033  0.0967  0.2500  9 Te 3.24-3.33
Te  0.0419  0.9581  0.2500  4 Te 3.12, 2 Ce 3.25
Te  0.1734  0.8266  0.7500  5 Ce 3.24-3.33
Te  0.2500  0.7500  0.2500  4 Te 3.12, 4 Ce 3.32
Te  0.3817  0.6183  0.7500  5 Ce 3.24-3.26
Te  0.4578  0.5422  0.2500  4 Te 3.12, 2 Ce 3.24
Te  0.5422  0.4578  0.7500  4 Te 3.12, 2 Ce 3.24
Te  0.6183  0.3817  0.2500  5 Ce 3.24-3.26
Te  0.7500  0.2500  0.7500  4 Te 3.12, 4 Ce 3.32
Te  0.8266  0.1734  0.2500  5 Ce 3.24-3.33
Te  0.9581  0.0419  0.7500  4 Te 3.12, 2 Ce 3.25

## Properties
Formation energy, eV per atom: -1.7497
E (MP2020), eV per atom: -5.690
Final energy, eV for the cell shown: -75.44
Volume, Å³ per atom: 30.25

---

(4)
Computed, not measured: crystalline Ce2Te3 at its relaxed geometry at the PBE-GGA level of DFT.

Cell lengths 12.3205, 4.4492, 11.9490 Å; angles 90.00, 90.00, 90.00 degrees
Last column: nearest neighbours and their distance in Å.
Fractional coordinates of all 20 atoms:
Ce  0.0143  0.2500  0.1869  7 Te 3.18-3.25
Ce  0.1955  0.2500  0.5003  7 Te 3.25-3.32
Ce  0.3045  0.7500  0.0003  7 Te 3.25-3.32
Ce  0.4857  0.7500  0.6869  7 Te 3.18-3.25
Ce  0.5143  0.2500  0.3131  7 Te 3.18-3.25
Ce  0.6955  0.2500  0.9997  7 Te 3.25-3.32
Ce  0.8045  0.7500  0.4997  7 Te 3.25-3.32
Ce  0.9857  0.7500  0.8131  7 Te 3.18-3.25
Te  0.0451  0.7500  0.3755  5 Ce 3.19-3.32
Te  0.1206  0.2500  0.9428  5 Ce 3.18-3.25
Te  0.2265  0.7500  0.7019  4 Ce 3.20-3.30
Te  0.2735  0.2500  0.2019  4 Ce 3.20-3.30
Te  0.3794  0.7500  0.4428  5 Ce 3.18-3.25
Te  0.4549  0.2500  0.8755  5 Ce 3.19-3.32
Te  0.5451  0.7500  0.1245  5 Ce 3.19-3.32
Te  0.6206  0.2500  0.5572  5 Ce 3.18-3.25
Te  0.7265  0.7500  0.7981  4 Ce 3.20-3.30
Te  0.7735  0.2500  0.2981  4 Ce 3.20-3.30
Te  0.8794  0.7500  0.0572  5 Ce 3.18-3.25
Te  0.9549  0.2500  0.6245  5 Ce 3.19-3.32

## Properties
Formation energy, eV per atom: -1.6430
E (MP2020), eV per atom: -5.902
Final energy, eV for the cell shown: -112.98
Volume, Å³ per atom: 32.75
E above lowest polymorph, meV per atom: 0

---

(5)
Computed, not measured: crystalline CeTe at its relaxed geometry at the PBE-GGA level of DFT.

Cell lengths 3.8609, 3.8609, 3.8609 Å; angles 90.00, 90.00, 90.00 degrees
Last column: nearest neighbours and their distance in Å.
Fractional coordinates of all 2 atoms:
Ce  0.0000  0.0000  0.0000  8 Te 3.34
Te  0.5000  0.5000  0.5000  8 Ce 3.34

## Properties
Formation energy, eV per atom: -1.4555
E (MP2020), eV per atom: -5.994
Final energy, eV for the cell shown: -11.57
Volume, Å³ per atom: 28.78

---

(6)
Computed, not measured: crystalline CeTe3 at its relaxed geometry at the PBE-GGA level of DFT.

Cell lengths 13.1336, 13.1336, 4.4194 Å; angles 90.00, 90.00, 160.65 degrees
Last column: nearest neighbours and their distance in Å.
Fractional coordinates of all 8 atoms:
Ce  0.1681  0.8319  0.7500  9 Te 3.26-3.30
Ce  0.8319  0.1681  0.2500  9 Te 3.26-3.30
Te  0.0735  0.9265  0.2500  4 Te 3.12, 2 Ce 3.30
Te  0.2953  0.7047  0.7500  5 Ce 3.26-3.29
Te  0.4264  0.5736  0.2500  4 Te 3.12, 2 Ce 3.30
Te  0.5736  0.4264  0.7500  4 Te 3.12, 2 Ce 3.30
Te  0.7047  0.2953  0.2500  5 Ce 3.26-3.29
Te  0.9265  0.0735  0.7500  4 Te 3.12, 2 Ce 3.30

## Properties
Formation energy, eV per atom: -1.3232
E (MP2020), eV per atom: -5.164
Final energy, eV for the cell shown: -38.78
Volume, Å³ per atom: 31.56

---

(7)
Computed, not measured: crystalline CeTe at its relaxed geometry at the PBE-GGA level of DFT.

Cell lengths 4.4831, 4.4831, 4.4831 Å; angles 60.00, 60.00, 60.00 degrees
Last column: nearest neighbours and their distance in Å.
Fractional coordinates of all 2 atoms:
Ce  0.0000  0.0000  0.0000  6 Te 3.17
Te  0.5000  0.5000  0.5000  6 Ce 3.17

## Properties
Formation energy, eV per atom: -1.5738
E (MP2020), eV per atom: -6.112
Final energy, eV for the cell shown: -11.80
Volume, Å³ per atom: 31.86

---

(8)
Computed, not measured: crystalline CeTlTe2 at its relaxed geometry at the PBE-GGA level of DFT.

Cell lengths 6.9231, 6.9231, 6.9231 Å; angles 110.40, 110.40, 107.63 degrees
Last column: nearest neighbours and their distance in Å.
Fractional coordinates of all 8 atoms:
Ce  0.2500  0.7500  0.5000  4 Te 3.22
Ce  0.7500  0.2500  0.5000  4 Te 3.22
Tl  0.2500  0.2500  0.0000  8 Te 3.48
Tl  0.7500  0.7500  0.0000  8 Te 3.48
Te  0.2225  0.7225  0.9451  2 Ce 3.22, 4 Tl 3.48
Te  0.2775  0.2225  0.5000  2 Ce 3.22, 4 Tl 3.48
Te  0.7225  0.7775  0.5000  2 Ce 3.22, 4 Tl 3.48
Te  0.7775  0.2775  0.0549  2 Ce 3.22, 4 Tl 3.48

## Properties
Formation energy, eV per atom: -1.0297
E (MP2020), eV per atom: -4.675
Final energy, eV for the cell shown: -35.71
Volume, Å³ per atom: 31.90

---

(9)
Computed, not measured: crystalline Ce3Ti at its relaxed geometry at the PBE-GGA level of DFT.

Cell lengths 4.6321, 4.6321, 4.6321 Å; angles 90.00, 90.00, 90.00 degrees
Last column: nearest neighbours and their distance in Å.
Fractional coordinates of all 4 atoms:
Ce  0.0000  0.0000  0.5000  8 Ce 3.28, 4 Ti 3.28
Ce  0.0000  0.5000  0.0000  8 Ce 3.28, 4 Ti 3.28
Ce  0.5000  0.0000  0.0000  8 Ce 3.28, 4 Ti 3.28
Ti  0.5000  0.5000  0.5000  12 Ce 3.28

## Properties
Formation energy, eV per atom: 0.1686
Final energy, eV for the cell shown: -25.02
Volume, Å³ per atom: 24.85

---

(10)
Computed, not measured: crystalline CeTl3 at its relaxed geometry at the PBE-GGA level of DFT.

Cell lengths 4.8261, 4.8261, 4.8261 Å; angles 90.00, 90.00, 90.00 degrees
Last column: nearest neighbours and their distance in Å.
Fractional coordinates of all 4 atoms:
Ce  0.0000  0.0000  0.0000  12 Tl 3.41
Tl  0.0000  0.5000  0.5000  8 Tl 3.41, 4 Ce 3.41
Tl  0.5000  0.0000  0.5000  8 Tl 3.41, 4 Ce 3.41
Tl  0.5000  0.5000  0.0000  8 Tl 3.41, 4 Ce 3.41

## Properties
Formation energy, eV per atom: -0.2396
Final energy, eV for the cell shown: -13.98
Volume, Å³ per atom: 28.10

---

(11)
Computed, not measured: crystalline CeYTl2 at its relaxed geometry at the PBE-GGA level of DFT.

Cell lengths 5.4495, 5.4495, 5.4495 Å; angles 60.00, 60.00, 60.00 degrees
Last column: nearest neighbours and their distance in Å.
Fractional coordinates of all 4 atoms:
Ce  0.0000  0.0000  0.0000  8 Tl 3.34
Y  0.5000  0.5000  0.5000  8 Tl 3.34
Tl  0.2500  0.2500  0.2500  4 Y 3.34, 4 Ce 3.34
Tl  0.7500  0.7500  0.7500  4 Y 3.34, 4 Ce 3.34

## Properties
Formation energy, eV per atom: -0.3112
Final energy, eV for the cell shown: -18.37
Volume, Å³ per atom: 28.61

---

(12)
Computed, not measured: crystalline Ce3Tm at its relaxed geometry at the PBE-GGA level of DFT.

Cell lengths 6.9682, 6.9682, 5.7069 Å; angles 90.00, 90.00, 120.00 degrees
Last column: nearest neighbours and their distance in Å.
Fractional coordinates of all 8 atoms:
Ce  0.1670  0.3341  0.2500  8 Ce 3.48-3.49, 4 Tm 3.48-3.49
Ce  0.1670  0.8330  0.2500  8 Ce 3.48-3.49, 4 Tm 3.48-3.49
Ce  0.3341  0.1670  0.7500  8 Ce 3.48-3.49, 4 Tm 3.48-3.49
Ce  0.6659  0.8330  0.2500  8 Ce 3.48-3.49, 4 Tm 3.48-3.49
Ce  0.8330  0.1670  0.7500  8 Ce 3.48-3.49, 4 Tm 3.48-3.49
Ce  0.8330  0.6659  0.7500  8 Ce 3.48-3.49, 4 Tm 3.48-3.49
Tm  0.3333  0.6667  0.7500  12 Ce 3.48-3.49
Tm  0.6667  0.3333  0.2500  12 Ce 3.48-3.49

## Properties
Formation energy, eV per atom: 0.1391
Final energy, eV for the cell shown: -43.44
Volume, Å³ per atom: 30.00

---

- What is the formula in the sixth record?
  CeTe3

---

- Look up the final energy of the eighth one.
  -35.71 eV for the cell shown

---

- What is the formula in the tenth record?
  CeTl3